A geometry-optimized Tb2CoPtO6 structure, computed with PBE+U.

Geometry as extended XYZ:
```
20
Lattice="5.782 0.000 0.000 0.000 5.348 0.000 0.000 5.323 7.721" Properties=species:S:1:pos:R:3 pbc="T T T"
O 3.172 2.004 1.936
O 4.631 7.019 4.361
O 0.281 6.005 1.925
O 1.789 6.328 4.303
O 4.680 7.004 7.279
O 3.993 4.343 3.419
O 5.501 4.666 5.796
O 1.102 3.667 0.442
O 1.151 3.652 3.360
O 1.740 6.313 7.220
O 4.042 4.358 0.501
O 2.610 8.667 5.786
Tb 3.322 5.467 5.780
Tb 5.351 2.805 1.919
Tb 2.460 5.204 1.941
Tb 0.431 7.866 5.802
Pt 2.891 2.662 3.861
Pt 0.000 0.000 0.000
Co 2.891 2.674 0.000
Co 0.000 5.335 3.861
```

**Total energy after the MP2020 corrections**: -7.787 eV per atom
**M_tot**: 6.0 μB/cell
**ΔE_f**: -2574 meV/atom
**Space-group type**: P2_1/c, No. 14



A geometry-optimized FeCoBi2O6 structure, computed with PBE+U.

Geometry as extended XYZ:
```
10
Lattice="3.763 0.000 0.000 0.000 3.763 0.000 0.000 0.000 9.764" Properties=species:S:1:pos:R:3 pbc="T T T"
O 1.881 1.881 1.028
O 1.881 0.000 8.476
O 0.000 1.881 3.542
O 0.000 1.881 8.476
O 1.881 1.881 5.867
O 1.881 0.000 3.542
Bi 0.000 0.000 0.040
Bi 0.000 0.000 4.860
Fe 1.881 1.881 7.691
Co 1.881 1.881 2.792
```

**Total energy after the MP2020 corrections**: -6.826 eV per atom
**M_tot**: 9.0 μB/cell
**ΔE_f**: -1521 meV/atom
**Space-group type**: P4mm, No. 99



A geometry-optimized NaFe2P2HO8 structure, computed with PBE+U.

Geometry as extended XYZ:
```
28
Lattice="5.255 0.000 0.000 -2.284 8.617 0.000 -1.626 -1.225 8.797" Properties=species:S:1:pos:R:3 pbc="T T T"
O 1.980 6.386 4.916
O 2.287 5.162 1.299
O 0.767 2.094 0.818
O 0.578 5.298 7.979
O 2.150 1.184 8.411
O -1.210 5.719 3.617
O 2.556 1.673 5.180
O -1.691 4.625 5.886
O 2.602 7.630 1.423
O -1.257 -0.239 7.374
O 3.037 2.767 2.911
O -0.634 1.006 3.880
O 2.287 0.339 3.104
O -0.942 7.053 5.693
O -0.941 2.230 7.498
O -0.804 6.208 0.386
P 2.933 6.390 0.575
P -1.588 1.002 8.222
P 3.161 1.464 3.696
P -1.815 5.928 5.101
Fe -1.205 4.216 7.804
Fe 2.551 3.176 0.992
Fe 0.857 6.778 6.564
Fe 0.488 0.614 2.232
Na 0.798 6.751 2.830
Na 0.548 0.641 5.967
H -1.793 5.186 3.028
H 3.138 2.206 5.769
```

**Energy above the most stable polymorph in this dataset**: 0.26 eV per formula unit
**Total energy after the MP2020 corrections**: -7.415 eV per atom
**M_tot**: 16.0 μB/cell
**ΔE_f**: -2268 meV/atom
**Space-group type**: P-1, No. 2



A geometry-optimized Li6Co6O5F11 structure, computed with PBE+U.

Geometry as extended XYZ:
```
28
Lattice="6.014 0.000 0.000 -3.003 5.246 0.000 -0.022 -3.398 9.850" Properties=species:S:1:pos:R:3 pbc="T T T"
Co -0.409 2.506 6.771
Co 0.933 0.039 6.768
Co 0.333 0.490 9.017
Co -0.541 4.473 1.770
Co 2.266 2.489 6.794
Co 3.894 1.635 1.859
O 2.816 1.195 0.802
O 1.980 0.248 8.008
O -0.811 0.291 7.977
O 1.238 2.334 5.623
O 3.479 -2.571 8.001
F 0.686 -0.705 3.033
F 2.709 -0.355 5.581
F 3.477 -0.734 3.065
F -0.133 -0.375 5.581
F -0.222 1.546 0.679
F -0.931 2.103 2.900
F -1.610 3.999 0.681
F 1.180 3.968 0.688
F 0.586 -2.384 7.839
F -1.723 2.449 5.622
F 2.090 1.784 3.034
Li 1.910 3.259 3.712
Li 0.931 1.624 1.906
Li 1.609 -0.508 4.350
Li -0.041 -3.325 9.796
Li 3.407 -0.994 8.597
Li -1.525 0.930 4.982
```

**Energy above the most stable polymorph in this dataset**: 15.65 eV per formula unit
**Total energy after the MP2020 corrections**: -5.269 eV per atom
**M_tot**: 21.0 μB/cell
**ΔE_f**: -1701 meV/atom
**Space-group type**: P1, No. 1



A geometry-optimized LiCo2P5O15 structure, computed with PBE+U.

Geometry as extended XYZ:
```
46
Lattice="8.464 0.000 0.000 0.000 5.277 0.000 0.000 4.124 12.888" Properties=species:S:1:pos:R:3 pbc="T T T"
O 7.305 3.772 5.831
O 7.333 3.808 10.828
O 5.593 4.747 4.261
O 1.602 8.396 12.271
O 5.577 2.545 2.160
O 1.268 5.631 2.141
O 4.321 4.527 1.076
O 4.127 4.911 11.921
O 6.860 1.068 0.510
O 7.264 3.630 0.612
O 0.517 4.204 9.002
O 2.888 4.607 8.605
O 4.856 5.677 9.704
O 4.143 6.589 7.520
O 7.947 2.142 2.558
O 1.131 1.746 4.383
O 5.196 7.244 11.592
O 1.201 5.692 7.056
O 7.196 7.693 8.585
O 4.337 2.849 5.477
O 3.224 2.214 1.270
O 6.862 6.334 5.827
O 7.935 5.184 3.813
O 3.269 5.182 5.148
O 1.159 5.834 12.275
O 5.240 4.276 7.714
O 2.871 6.809 10.705
O 3.608 3.615 3.260
O 0.530 7.246 10.257
O 1.604 3.129 6.954
P 6.965 5.031 5.079
P 4.304 5.274 8.273
P 4.160 3.212 1.829
P 4.175 4.117 4.653
P 1.509 4.400 7.758
P 0.488 1.038 3.215
P 4.289 6.179 11.097
P 7.976 3.100 9.659
P 1.499 7.093 11.523
P 6.956 2.338 1.314
Co 2.614 0.484 0.508
Co 5.801 8.921 12.470
Co 2.664 6.859 6.026
Co 5.850 2.546 6.952
Li 0.047 2.224 6.047
Li 8.418 4.286 12.491
```

**Energy above the most stable polymorph in this dataset**: 0.00 eV per formula unit
**Total energy after the MP2020 corrections**: -7.547 eV per atom
**M_tot**: 12.0 μB/cell
**ΔE_f**: -2442 meV/atom
**Space-group type**: Pc, No. 7



A geometry-optimized MnCoO4 structure, computed with PBE+U.

Geometry as extended XYZ:
```
12
Lattice="-2.859 0.409 4.954 2.427 5.115 0.912 -2.975 -1.038 -4.791" Properties=species:S:1:pos:R:3 pbc="T T T"
O -3.233 1.104 1.617
O -1.558 1.780 3.939
O -0.522 4.061 4.342
O -2.885 0.424 -3.267
O -1.603 0.878 -1.124
O -1.804 3.608 2.199
O -1.848 2.706 -2.863
O -0.174 3.382 -0.542
Co 1.214 2.557 0.456
Co -1.488 -0.519 -2.396
Mn -0.274 2.038 -1.939
Mn -0.216 2.762 2.933
```

**Total energy after the MP2020 corrections**: -7.397 eV per atom
**M_tot**: 4.0 μB/cell
**ΔE_f**: -1387 meV/atom
**Space-group type**: Imma, No. 74



A geometry-optimized NaNiPO4 structure, computed with PBE+U.

Geometry as extended XYZ:
```
28
Lattice="0.000 0.000 4.977 10.248 0.000 0.000 0.000 6.186 0.000" Properties=species:S:1:pos:R:3 pbc="T T T"
O 9.867 1.547 1.706
O 6.311 1.547 3.752
O 1.823 2.771 1.497
O 8.424 5.864 3.480
O 5.505 4.640 4.195
O 1.187 1.547 3.714
O 0.381 4.640 3.271
O 4.743 1.547 0.782
O 8.424 3.416 3.480
O 3.937 4.640 1.225
O 9.060 4.640 1.263
O 3.300 5.864 3.986
O 6.947 2.771 0.991
O 6.947 0.323 0.991
O 1.823 0.323 1.497
O 3.300 3.416 3.986
Na 5.124 0.000 2.489
Na 10.248 3.093 4.977
Na 10.248 0.000 4.977
Na 5.124 3.093 2.489
Ni 2.249 4.640 2.441
Ni 7.373 4.640 0.047
Ni 7.999 1.547 2.536
Ni 2.875 1.547 4.930
P 9.146 4.640 2.799
P 1.102 1.547 2.178
P 6.225 1.547 0.311
P 4.022 4.640 4.667
```

**Energy above the most stable polymorph in this dataset**: 0.18 eV per formula unit
**Total energy after the MP2020 corrections**: -6.898 eV per atom
**M_tot**: 0.0 μB/cell
**ΔE_f**: -2283 meV/atom
**Space-group type**: Pnma, No. 62



A geometry-optimized NaNd3Ti3MnO12 structure, computed with PBE+U.

Geometry as extended XYZ:
```
40
Lattice="5.535 0.000 0.000 0.000 5.528 0.000 0.000 0.025 15.737" Properties=species:S:1:pos:R:3 pbc="T T T"
Ti 0.030 4.173 11.721
Ti 2.797 1.380 4.016
Ti 2.769 1.401 7.859
Ti 2.721 1.415 11.733
Ti 5.489 4.138 4.004
Ti 0.002 4.152 7.878
Nd 2.676 4.070 1.969
Nd 2.881 4.249 13.774
Nd 2.839 4.199 6.007
Nd 0.113 1.305 1.963
Nd 5.444 1.484 13.768
Nd 0.071 1.355 9.730
O 1.392 0.014 8.181
O 4.160 5.540 7.556
O 1.322 2.696 0.457
O 1.426 5.491 3.553
O 4.105 2.811 12.190
O 1.338 2.742 3.547
O 1.358 0.023 11.391
O 1.287 2.686 11.390
O 5.011 4.213 2.134
O 1.454 5.464 0.455
O 4.127 2.811 7.547
O 0.479 4.155 5.916
O 0.552 4.097 13.590
O 3.246 1.399 9.821
O 4.221 0.089 15.282
O 4.125 5.530 4.346
O 1.359 2.742 8.190
O 3.319 1.456 2.147
O 4.193 0.063 12.184
O 2.243 1.340 13.603
O 4.054 2.867 4.347
O 4.089 2.857 15.280
O 2.359 1.372 5.927
O 5.126 4.181 9.810
Mn 2.774 1.383 0.004
Mn 0.007 4.171 15.733
Na 2.719 4.161 9.796
Na 5.486 1.392 5.941
```

**Energy above the most stable polymorph in this dataset**: 0.61 eV per formula unit
**Total energy after the MP2020 corrections**: -8.764 eV per atom
**M_tot**: 9.6 μB/cell
**ΔE_f**: -3371 meV/atom
**Space-group type**: P2_1, No. 4



A geometry-optimized Li4Co3O7 structure, computed with PBE+U.

Geometry as extended XYZ:
```
28
Lattice="-2.623 0.821 -4.263 -3.944 -0.917 4.246 0.657 8.370 2.141" Properties=species:S:1:pos:R:3 pbc="T T T"
O -2.055 4.348 0.004
O -2.721 3.537 -2.779
O -4.645 1.149 3.206
O -3.262 1.109 -1.934
O -2.648 7.164 4.058
O -4.564 3.255 -0.613
O -3.855 3.926 2.120
O -1.264 7.124 -1.082
O -5.429 0.397 0.219
O -3.386 6.635 1.273
O -3.189 4.736 4.903
O -1.345 5.019 2.738
O -0.481 7.876 1.905
O -2.523 1.638 0.851
Li -3.283 -0.048 -0.008
Li -1.968 5.381 -1.818
Li -3.252 7.627 -0.582
Li -3.941 2.893 3.942
Li -2.657 0.647 2.707
Li -1.311 0.410 -2.131
Li -4.610 2.178 1.211
Li -1.300 6.096 0.913
Co -5.248 7.172 1.558
Co -0.662 1.101 0.567
Co -3.930 4.896 0.283
Co -3.295 5.678 3.062
Co -1.980 3.377 1.842
Co -2.614 2.595 -0.938
```

**Energy above the most stable polymorph in this dataset**: 0.00 eV per formula unit
**Total energy after the MP2020 corrections**: -6.253 eV per atom
**M_tot**: 2.0 μB/cell
**ΔE_f**: -1711 meV/atom
**Space-group type**: P-1, No. 2



A geometry-optimized Te2W3C15O15 structure, computed with PBE+U.

Geometry as extended XYZ:
```
140
Lattice="11.023 0.000 0.000 0.000 11.023 0.000 0.000 0.000 21.566" Properties=species:S:1:pos:R:3 pbc="T T T"
C 1.535 8.061 13.133
C 1.823 7.871 10.303
C 9.721 9.418 2.554
C 3.860 2.477 1.834
C 7.147 1.238 15.263
C 7.995 10.961 4.321
C 1.475 7.293 20.443
C 5.450 8.539 20.495
C 1.605 1.301 8.229
C 7.116 4.210 7.945
C 8.539 5.450 1.071
C 3.152 9.199 0.480
C 1.651 7.988 3.557
C 10.961 7.995 17.246
C 9.488 2.962 2.350
C 3.730 9.548 11.906
C 9.784 3.875 17.087
C 0.061 3.027 6.462
C 9.241 6.986 4.268
C 9.298 9.298 10.783
C 2.484 5.573 11.854
C 4.273 1.636 20.654
C 9.548 3.730 9.660
C 2.962 9.488 19.217
C 7.335 8.663 5.872
C 6.986 9.241 17.298
C 1.636 4.273 0.912
C 1.782 4.036 15.052
C 7.163 8.546 12.617
C 9.418 9.721 19.012
C 3.786 7.236 5.392
C 9.199 3.152 21.086
C 6.750 9.387 9.871
C 3.027 0.061 15.104
C 2.360 3.688 4.911
C 3.976 2.549 13.825
C 7.293 1.475 1.123
C 4.036 1.782 6.515
C 4.210 7.116 13.621
C 9.387 6.750 11.695
C 6.813 3.907 2.838
C 2.477 3.860 19.732
C 3.907 6.813 18.729
C 8.061 1.535 8.434
C 2.549 3.976 7.741
C 7.988 1.651 18.009
C 8.546 7.163 8.949
C 7.871 1.823 11.263
C 1.238 7.147 6.304
C 7.046 8.473 3.042
C 8.663 7.335 15.694
C 1.725 1.725 0.000
C 5.573 2.484 9.712
C 3.688 2.360 16.655
C 3.034 9.371 7.226
C 9.371 3.034 14.340
C 7.236 3.786 16.175
C 8.473 7.046 18.524
C 3.875 9.784 4.479
C 1.301 1.605 13.337
W 8.596 8.966 4.260
W 3.085 7.568 11.915
W 2.427 2.057 15.043
W 3.455 7.938 20.435
W 7.568 3.085 9.651
W 7.938 3.455 1.132
W 8.966 8.596 17.306
W 2.057 2.427 6.523
W 2.331 8.691 5.392
W 8.691 2.331 16.175
W 3.180 3.180 0.000
W 7.843 7.843 10.783
O 3.042 9.978 1.344
O 10.292 6.202 12.164
O 8.878 6.561 1.020
O 2.469 4.466 4.048
O 0.731 4.820 1.381
O 8.195 6.148 19.219
O 0.636 8.339 13.827
O 9.973 3.366 6.412
O 4.787 6.819 14.583
O 2.684 10.386 18.522
O 9.978 3.042 20.222
O 9.602 5.881 4.259
O 7.656 1.049 4.372
O 3.471 9.716 8.242
O 10.653 4.091 9.650
O 5.142 1.421 6.524
O 6.202 10.292 9.402
O 10.116 10.116 10.783
O 10.299 9.715 1.591
O 4.204 6.235 17.766
O 6.418 4.605 16.175
O 3.366 9.973 15.155
O 4.091 10.653 11.916
O 4.462 2.145 9.763
O 10.386 2.684 3.044
O 6.818 8.983 13.634
O 2.145 4.462 11.803
O 4.820 0.731 20.185
O 4.205 2.040 2.851
O 6.561 8.878 20.546
O 6.148 8.195 2.347
O 5.881 9.602 17.308
O 6.242 0.691 14.793
O 4.875 2.827 13.131
O 9.715 10.299 19.975
O 1.306 7.551 2.541
O 1.045 7.981 9.439
O 4.780 10.332 4.010
O 1.421 5.142 15.042
O 7.981 1.045 12.127
O 9.716 3.471 13.324
O 6.819 4.787 6.983
O 7.551 1.306 19.025
O 4.466 2.469 17.519
O 0.369 6.932 20.433
O 6.556 8.553 6.736
O 6.235 4.204 3.800
O 8.983 6.818 7.933
O 0.691 6.242 6.773
O 4.605 6.418 5.392
O 2.040 4.205 18.716
O 1.307 0.724 9.192
O 1.049 7.656 17.195
O 0.906 0.906 0.000
O 0.724 1.307 12.375
O 8.339 0.636 7.739
O 2.827 4.875 8.436
O 6.932 0.369 1.133
O 8.553 6.556 14.831
O 10.332 4.780 17.556
Te 5.910 4.210 20.870
Te 5.112 6.813 10.087
Te 9.721 10.624 15.478
Te 4.210 5.910 0.696
Te 0.399 1.301 16.871
Te 6.813 5.112 11.479
Te 10.624 9.721 6.088
Te 1.301 0.399 4.695
```

**Total energy after the MP2020 corrections**: -8.075 eV per atom
**M_tot**: 0.0 μB/cell
**ΔE_f**: -709 meV/atom
**Space-group type**: P4_12_12, No. 92



Among the records above, which one has the highest ΔE_f?
Te2W3C15O15